A relaxed LaFe12O19 crystal. Source: the Materials Project, functional PBE with a Hubbard U.

abc: 5.9887 5.9887 23.1190
angles: 90.00 90.00 119.08
With the nearest neighbours (Å) after each atom.
Positions (direct):
O 0.8517 0.6938 0.9452  4 Fe 1.98-2.11
O 0.3354 0.6646 0.9413  4 Fe 2.00-2.09
O 0.1483 0.3062 0.0548  4 Fe 1.98-2.11
O 0.5046 0.4954 0.1528  3 Fe 1.99-2.00
O 0.9750 0.4906 0.3429  3 Fe 1.99-2.01
O 0.6377 0.7866 0.2500  1 Fe 1.90
O 0.0250 0.5094 0.8429  3 Fe 1.99-2.01
O 0.3062 0.1483 0.9452  4 Fe 1.98-2.11
O 0.2134 0.3623 0.2500  1 Fe 1.90
O 0.3623 0.2134 0.7500  1 Fe 1.90
O 0.4954 0.5046 0.6528  3 Fe 1.99-2.00
O 0.4906 0.9750 0.8429  3 Fe 1.99-2.01
O 0.5094 0.0250 0.3429  3 Fe 1.99-2.01
O 0.9987 0.0013 0.1549  4 Fe 2.02-2.20
O 0.5094 0.0250 0.1571  3 Fe 1.99-2.01
O 0.4954 0.5046 0.8472  3 Fe 1.99-2.00
O 0.6646 0.3354 0.4413  4 Fe 2.00-2.09
O 0.9987 0.0013 0.3451  4 Fe 2.02-2.20
O 0.1538 0.8462 0.4442  4 Fe 1.98-2.09
O 0.0013 0.9987 0.8451  4 Fe 2.02-2.20
O 0.1841 0.8159 0.2500  3 Fe 1.92-2.05
O 0.3062 0.1483 0.5548  4 Fe 1.98-2.11
O 0.1483 0.3062 0.4452  4 Fe 1.98-2.11
O 0.4906 0.9750 0.6571  3 Fe 1.99-2.01
O 0.0013 0.9987 0.6549  4 Fe 2.02-2.20
O 0.6646 0.3354 0.0587  4 Fe 2.00-2.09
O 0.8517 0.6938 0.5548  4 Fe 1.98-2.11
O 0.6938 0.8517 0.4452  4 Fe 1.98-2.11
O 0.6938 0.8517 0.0548  4 Fe 1.98-2.11
O 0.8159 0.1841 0.7500  3 Fe 1.92-2.05
O 0.7866 0.6377 0.7500  1 Fe 1.90
O 0.0250 0.5094 0.6571  3 Fe 1.99-2.01
O 0.9750 0.4906 0.1571  3 Fe 1.99-2.01
O 0.1538 0.8462 0.0558  4 Fe 1.98-2.09
O 0.8462 0.1538 0.5558  4 Fe 1.98-2.09
O 0.8462 0.1538 0.9442  4 Fe 1.98-2.09
O 0.5046 0.4954 0.3472  3 Fe 1.99-2.00
O 0.3354 0.6646 0.5587  4 Fe 2.00-2.09
Fe 0.6670 0.8314 0.8911  6 O 1.99-2.09
Fe 0.6702 0.3298 0.6897  6 O 2.00-2.14
Fe 0.3330 0.1686 0.3911  6 O 1.99-2.09
Fe 0.3354 0.6646 0.0279  4 O 1.98-2.00
Fe 0.0000 0.0000 0.0000  6 O 2.04-2.05
Fe 0.3330 0.1686 0.1089  6 O 1.99-2.09
Fe 0.1700 0.8300 0.8897  6 O 2.00-2.11
Fe 0.6670 0.8314 0.6089  6 O 1.99-2.09
Fe 0.0014 0.9986 0.7500  3 O 1.90-1.92
Fe 0.8314 0.6670 0.3911  6 O 1.99-2.09
Fe 0.0000 0.0000 0.5000  6 O 2.04-2.05
Fe 0.1686 0.3330 0.6089  6 O 1.99-2.09
Fe 0.6702 0.3298 0.8103  6 O 2.00-2.14
Fe 0.8314 0.6670 0.1089  6 O 1.99-2.09
Fe 0.8300 0.1700 0.3897  6 O 2.00-2.11
Fe 0.6646 0.3354 0.9721  4 O 1.98-2.00
Fe 0.3298 0.6702 0.1897  6 O 2.00-2.14
Fe 0.6646 0.3354 0.5279  4 O 1.98-2.00
Fe 0.1700 0.8300 0.6103  6 O 2.00-2.11
Fe 0.9986 0.0014 0.2500  3 O 1.90-1.92
Fe 0.1686 0.3330 0.8911  6 O 1.99-2.09
Fe 0.3354 0.6646 0.4721  4 O 1.98-2.00
Fe 0.8300 0.1700 0.1103  6 O 2.00-2.11
Fe 0.3298 0.6702 0.3103  6 O 2.00-2.14
La 0.3624 0.6376 0.7500  8 O 2.54-2.79
La 0.6376 0.3624 0.2500  8 O 2.54-2.79

symmetry = No. 63
size of the total moment = 59.0 μB per formula unit



A relaxed Na2FeO3 crystal. Source: the Materials Project, functional PBE with a Hubbard U.

abc: 5.3333 8.4610 6.4558
angles: 77.40 76.80 76.99
With the nearest neighbours (Å) after each atom.
Positions (direct):
Fe 0.5013 0.1649 0.8374  4 O 1.89-1.97
Fe 0.9988 0.3354 0.6624  4 O 1.89-1.97
Fe 0.4989 0.8354 0.1626  4 O 1.89-1.97
Fe 0.0013 0.6649 0.3375  4 O 1.89-1.97
Na 0.4910 0.8251 0.6677  5 O 2.27-2.53
Na 0.9910 0.3251 0.1676  5 O 2.27-2.53
Na 0.4999 0.5000 0.0001  6 O 2.24-2.50
Na 0.0001 0.0000 0.9997  6 O 2.26-2.41
Na 0.5094 0.1743 0.3323  5 O 2.27-2.53
Na 0.0094 0.6743 0.8325  5 O 2.27-2.53
Na 0.5000 0.5001 0.4997  6 O 2.26-2.41
Na 0.9999 0.0000 0.5001  6 O 2.24-2.49
O 0.6936 0.9462 0.8471  1 Fe 1.90
O 0.2247 0.7466 0.4615  1 Fe 1.89
O 0.2750 0.7533 0.0394  1 Fe 1.89
O 0.7570 0.6275 0.1751  2 Fe 1.96-1.97
O 0.1937 0.4461 0.3471  1 Fe 1.90
O 0.7748 0.2534 0.5392  1 Fe 1.89
O 0.2569 0.1274 0.6749  2 Fe 1.96-1.97
O 0.7431 0.8728 0.3249  2 Fe 1.96-1.97
O 0.8064 0.5538 0.6526  1 Fe 1.90
O 0.7245 0.2467 0.9613  1 Fe 1.89
O 0.2429 0.3727 0.8248  2 Fe 1.96-1.97
O 0.3064 0.0538 0.1526  1 Fe 1.90

relative energy among the computed polymorphs = 0 meV per atom



A relaxed ScVO2 crystal. Source: the Materials Project, functional PBE with a Hubbard U.

abc: 6.8909 6.8909 6.8909
angles: 128.49 128.49 75.83
With the nearest neighbours (Å) after each atom.
Positions (direct):
O 0.1729 0.4177 0.2448  2 V 2.16, 3 Sc 2.20
O 0.0719 0.8271 0.2448  2 V 2.16, 3 Sc 2.20
O 0.1729 0.9281 0.7552  2 V 2.16, 3 Sc 2.20
O 0.1677 0.4229 0.7448  2 V 2.16, 3 Sc 2.20
O 0.5771 0.3219 0.7448  2 V 2.16, 3 Sc 2.20
O 0.5823 0.8271 0.7552  2 V 2.16, 3 Sc 2.20
O 0.6781 0.4229 0.2552  2 V 2.16, 3 Sc 2.20
O 0.5771 0.8323 0.2552  2 V 2.16, 3 Sc 2.20
Sc 0.3750 0.6250 0.7500  6 O 2.20
Sc 0.8750 0.6250 0.2500  6 O 2.20
Sc 0.3750 0.6250 0.2500  6 O 2.20
Sc 0.3750 0.1250 0.7500  6 O 2.20
V 0.8750 0.1250 0.2500  4 O 2.16
V 0.8750 0.1250 0.7500  4 O 2.16
V 0.8750 0.6250 0.7500  4 O 2.16
V 0.3750 0.1250 0.2500  4 O 2.16

symmetry = No. 141
size of the total moment = 3.0 μB per formula unit



A relaxed Li9Mn7O16 crystal. Source: the Materials Project, functional PBE with a Hubbard U.

abc: 6.5121 6.5121 8.8369
angles: 89.47 89.47 52.44
With the nearest neighbours (Å) after each atom.
Positions (direct):
Mn 0.3749 0.8719 0.2404  5 O 1.94-2.02
Mn 0.2499 0.2499 0.5001  4 O 1.96
Mn 0.1281 0.6251 0.7596  5 O 1.94-2.02
Mn 0.6251 0.1281 0.7596  5 O 1.94-2.02
Mn 0.0000 0.0000 0.0000  4 O 1.95
Mn 0.8719 0.3749 0.2404  5 O 1.94-2.02
Mn 0.7501 0.7501 0.4999  4 O 1.96
Li 0.0000 0.0000 0.5000  6 O 2.14-2.15
Li 0.2525 0.2525 0.0010  6 O 2.08-2.20
Li 0.6219 0.1299 0.2423  6 O 2.13-2.32
Li 0.5000 0.5000 0.0000  6 O 2.05-2.26
Li 0.3781 0.8701 0.7577  6 O 2.13-2.32
Li 0.1299 0.6219 0.2423  6 O 2.13-2.32
Li 0.8701 0.3781 0.7577  6 O 2.13-2.32
Li 0.7475 0.7475 0.9990  6 O 2.08-2.20
Li 0.5000 0.5000 0.5000  6 O 2.14-2.17
O 0.3861 0.8857 0.4955  2 Mn 1.96, 2 Li 2.14
O 0.8802 0.3565 0.0120  2 Mn 1.95-2.02, 3 Li 2.05-2.13
O 0.3565 0.8802 0.0120  2 Mn 1.95-2.02, 3 Li 2.05-2.13
O 0.5116 0.5116 0.2553  2 Mn 1.94, 3 Li 2.13-2.17
O 0.6435 0.1198 0.9880  2 Mn 1.95-2.02, 3 Li 2.05-2.13
O 0.1143 0.6139 0.5045  2 Mn 1.96, 2 Li 2.14
O 0.6139 0.1143 0.5045  2 Mn 1.96, 2 Li 2.14
O 0.0088 0.0088 0.2566  2 Mn 1.98, 3 Li 2.14-2.15
O 0.7616 0.7616 0.7511  2 Mn 1.98, 3 Li 2.14-2.20
O 0.8857 0.3861 0.4955  2 Mn 1.96, 2 Li 2.14
O 0.2384 0.2384 0.2489  2 Mn 1.98, 3 Li 2.14-2.20
O 0.4884 0.4884 0.7447  2 Mn 1.94, 3 Li 2.13-2.17
O 0.2611 0.2611 0.7527  2 Mn 1.97, 3 Li 2.17-2.20
O 0.9912 0.9912 0.7434  2 Mn 1.98, 3 Li 2.14-2.15
O 0.7389 0.7389 0.2473  2 Mn 1.97, 3 Li 2.17-2.20
O 0.1198 0.6435 0.9880  2 Mn 1.95-2.02, 3 Li 2.05-2.13

relative energy among the computed polymorphs = 28 meV per atom
symmetry = No. 12
size of the total moment = 26.0 μB per formula unit



Record-wise ΔH_f (0 K) values, in meV per atom: -1784, -1638, -2560, -2117
Record-wise E_tot values, in eV per atom: -6.798, -5.245, -8.119, -6.423